[1]
{"formula": "Li4Ti3Nb2Ni3O16", "functional": "PBE+U", "state": "optimized geometry", "total_energy_ev_per_atom": -7.299, "density_g_cm3": 4.32, "ef_ev_per_atom": -2.677, "lattice": [[-2.983, 5.166, 0.000], [0.000, 0.000, 9.796], [8.982, 5.186, -0.001]], "species": ["Li", "Li", "Li", "Li", "Li", "Li", "Li", "Li", "Ti", "Ti", "Ti", "Ti", "Ti", "Ti", "Nb", "Nb", "Nb", "Nb", "Ni", "Ni", "Ni", "Ni", "Ni", "Ni", "O", "O", "O", "O", "O", "O", "O", "O", "O", "O", "O", "O", "O", "O", "O", "O", "O", "O", "O", "O", "O", "O", "O", "O", "O", "O", "O", "O", "O", "O", "O", "O"], "frac_coords": [[0.500, 0.903, 0.166], [0.000, 0.903, 0.666], [0.500, 0.985, 0.498], [0.000, 0.985, 0.998], [0.000, 0.496, 0.001], [0.500, 0.496, 0.501], [0.000, 0.408, 0.332], [0.500, 0.408, 0.832], [0.000, 0.734, 0.178], [0.500, 0.734, 0.678], [0.749, 0.220, 0.095], [0.248, 0.220, 0.595], [0.251, 0.220, 0.095], [0.751, 0.220, 0.595], [0.500, 0.501, 0.167], [0.000, 0.501, 0.667], [0.000, 0.988, 0.352], [0.500, 0.988, 0.852], [0.000, 0.210, 0.831], [0.747, 0.709, 0.913], [0.253, 0.709, 0.913], [0.500, 0.210, 0.331], [0.247, 0.709, 0.413], [0.753, 0.709, 0.413], [0.500, 0.333, 0.018], [0.000, 0.333, 0.518], [0.500, 0.107, 0.155], [0.000, 0.107, 0.655], [0.000, 0.306, 0.005], [0.500, 0.306, 0.505], [0.000, 0.798, 0.005], [0.500, 0.798, 0.505], [0.000, 0.101, 0.164], [0.500, 0.102, 0.664], [0.500, 0.583, 0.332], [0.000, 0.583, 0.832], [0.000, 0.608, 0.319], [0.500, 0.608, 0.819], [0.001, 0.849, 0.481], [0.501, 0.849, 0.981], [0.747, 0.589, 0.086], [0.247, 0.589, 0.586], [0.253, 0.589, 0.086], [0.753, 0.589, 0.586], [0.729, 0.338, 0.234], [0.229, 0.338, 0.734], [0.271, 0.338, 0.234], [0.771, 0.338, 0.734], [0.219, 0.849, 0.251], [0.719, 0.849, 0.751], [0.781, 0.849, 0.251], [0.281, 0.849, 0.751], [0.249, 0.094, 0.418], [0.749, 0.094, 0.918], [0.751, 0.094, 0.418], [0.251, 0.094, 0.918]]}

***

[2]
{"formula": "Li4Nb2V3Ni3O16", "functional": "PBE+U", "state": "optimized geometry", "total_energy_ev_per_atom": -6.911, "density_g_cm3": 4.41, "polymorph_energy_mev_per_atom": 9.4, "ef_ev_per_atom": -2.344, "sg": "P1", "lattice": [[5.958, 0.000, 0.000], [2.975, 5.177, 0.000], [0.101, -0.036, 9.747]], "species": ["Li", "Li", "Li", "Li", "Nb", "Nb", "V", "V", "V", "Ni", "Ni", "Ni", "O", "O", "O", "O", "O", "O", "O", "O", "O", "O", "O", "O", "O", "O", "O", "O"], "frac_coords": [[0.000, 0.000, 0.000], [0.001, 0.001, 0.496], [0.349, 0.331, 0.590], [0.695, 0.656, 0.093], [0.317, 0.343, 0.991], [0.665, 0.667, 0.490], [0.649, 0.176, 0.258], [0.826, 0.828, 0.766], [0.827, 0.346, 0.773], [0.176, 0.169, 0.281], [0.176, 0.660, 0.281], [0.347, 0.829, 0.776], [0.063, 0.471, 0.144], [0.168, 0.168, 0.898], [0.174, 0.665, 0.898], [0.338, 0.834, 0.401], [0.382, 0.312, 0.383], [0.517, 0.026, 0.152], [0.518, 0.461, 0.151], [0.536, 0.512, 0.647], [0.536, 0.962, 0.648], [0.667, 0.164, 0.898], [0.697, 0.670, 0.886], [0.827, 0.842, 0.395], [0.831, 0.336, 0.396], [0.974, 0.527, 0.645], [0.984, 0.011, 0.191], [0.994, 0.995, 0.687]]}

***

[3]
{"formula": "Li4Nb2V3Ni3O16", "functional": "PBE+U", "state": "optimized geometry", "total_energy_ev_per_atom": -6.920, "density_g_cm3": 4.45, "polymorph_energy_mev_per_atom": 0.0, "ef_ev_per_atom": -2.353, "sg": "P1", "lattice": [[5.939, 0.000, 0.000], [2.945, 5.161, 0.000], [0.073, 0.030, 9.710]], "species": ["Li", "Li", "Li", "Li", "Nb", "Nb", "V", "V", "V", "Ni", "Ni", "Ni", "O", "O", "O", "O", "O", "O", "O", "O", "O", "O", "O", "O", "O", "O", "O", "O"], "frac_coords": [[0.000, 0.000, 0.000], [0.002, 0.000, 0.493], [0.334, 0.326, 0.584], [0.661, 0.658, 0.090], [0.348, 0.344, 0.001], [0.664, 0.663, 0.486], [0.174, 0.172, 0.262], [0.347, 0.835, 0.769], [0.843, 0.341, 0.768], [0.165, 0.656, 0.276], [0.659, 0.162, 0.276], [0.832, 0.828, 0.780], [0.006, 0.000, 0.683], [0.009, 0.006, 0.189], [0.033, 0.466, 0.138], [0.165, 0.161, 0.885], [0.176, 0.666, 0.893], [0.316, 0.312, 0.380], [0.339, 0.830, 0.396], [0.468, 0.031, 0.138], [0.479, 0.475, 0.140], [0.502, 0.958, 0.650], [0.520, 0.515, 0.653], [0.653, 0.648, 0.883], [0.669, 0.171, 0.892], [0.832, 0.830, 0.404], [0.833, 0.337, 0.396], [0.964, 0.498, 0.650]]}

***

[4]
{"formula": "Li2NbVP2O10", "functional": "PBE+U", "state": "optimized geometry", "total_energy_ev_per_atom": -7.404, "density_g_cm3": 2.80, "ef_ev_per_atom": -2.733, "sg": "Pna2_1", "lattice": [[12.780, 0.000, 0.000], [0.000, 6.432, 0.000], [0.000, 0.000, 10.958]], "species": ["Li", "Li", "Li", "Li", "Li", "Li", "Li", "Li", "Nb", "Nb", "Nb", "Nb", "V", "V", "V", "V", "P", "P", "P", "P", "P", "P", "P", "P", "O", "O", "O", "O", "O", "O", "O", "O", "O", "O", "O", "O", "O", "O", "O", "O", "O", "O", "O", "O", "O", "O", "O", "O", "O", "O", "O", "O", "O", "O", "O", "O", "O", "O", "O", "O", "O", "O", "O", "O"], "frac_coords": [[0.113, 0.176, 0.000], [0.182, 0.754, 0.709], [0.318, 0.254, 0.209], [0.387, 0.676, 0.500], [0.613, 0.324, 0.000], [0.682, 0.746, 0.709], [0.818, 0.246, 0.209], [0.887, 0.824, 0.500], [0.136, 0.998, 0.395], [0.364, 0.498, 0.895], [0.636, 0.502, 0.395], [0.864, 0.002, 0.895], [0.246, 0.747, 0.142], [0.254, 0.247, 0.642], [0.746, 0.753, 0.142], [0.754, 0.253, 0.642], [0.004, 0.145, 0.651], [0.188, 0.498, 0.395], [0.312, 0.998, 0.895], [0.496, 0.645, 0.151], [0.504, 0.355, 0.651], [0.688, 0.002, 0.395], [0.812, 0.502, 0.895], [0.996, 0.855, 0.151], [0.005, 0.986, 0.271], [0.011, 0.987, 0.541], [0.093, 0.714, 0.134], [0.101, 0.286, 0.655], [0.114, 0.687, 0.408], [0.115, 0.306, 0.388], [0.232, 0.989, 0.266], [0.233, 0.010, 0.523], [0.238, 0.987, 0.008], [0.245, 0.012, 0.778], [0.255, 0.512, 0.278], [0.262, 0.487, 0.508], [0.267, 0.510, 0.023], [0.268, 0.489, 0.766], [0.385, 0.806, 0.888], [0.386, 0.187, 0.908], [0.399, 0.786, 0.155], [0.407, 0.214, 0.634], [0.489, 0.487, 0.041], [0.495, 0.486, 0.771], [0.505, 0.514, 0.271], [0.511, 0.513, 0.541], [0.593, 0.786, 0.134], [0.601, 0.214, 0.655], [0.614, 0.813, 0.408], [0.615, 0.194, 0.388], [0.732, 0.511, 0.266], [0.733, 0.490, 0.523], [0.738, 0.513, 0.008], [0.745, 0.488, 0.778], [0.755, 0.988, 0.278], [0.762, 0.013, 0.508], [0.767, 0.990, 0.023], [0.768, 0.011, 0.766], [0.885, 0.694, 0.888], [0.886, 0.313, 0.908], [0.899, 0.714, 0.155], [0.907, 0.286, 0.634], [0.989, 0.013, 0.041], [0.995, 0.014, 0.771]]}